1) Material: Li8V3P8O29
Method: DFT, PBE with a Hubbard U
State: relaxed

```
Li8V3P8O29
1.0
9.9049 0.0000 0.0000
4.9464 8.5852 0.0000
0.1051 0.0720 13.8998
Li V P O
16 6 16 58
direct
0.0000 0.0000 0.0000
0.0043 0.5547 0.9499
0.0143 0.9857 0.4997
0.0998 0.6419 0.3196
0.2400 0.6364 0.8187
0.2599 0.2952 0.8659
0.3098 0.2451 0.3656
0.4255 0.5467 0.4459
0.4354 0.9805 0.9514
0.5612 0.4112 0.9461
0.5689 0.9901 0.4496
0.6509 0.2257 0.3187
0.6562 0.0856 0.8198
0.6631 0.6581 0.7667
0.6725 0.6487 0.2665
0.9948 0.4214 0.4512
0.3282 0.8868 0.1378
0.3342 0.7536 0.6335
0.7670 0.8828 0.6316
0.7680 0.3198 0.1337
0.8971 0.7528 0.1316
0.9015 0.3135 0.6379
0.0129 0.5433 0.7269
0.0151 0.4070 0.2334
0.1035 0.6392 0.5407
0.1126 0.2307 0.0480
0.2432 0.6398 0.0381
0.2450 0.0982 0.5480
0.4205 0.5473 0.2258
0.4216 0.0004 0.7334
0.5579 0.9985 0.2269
0.5617 0.4060 0.7256
0.6534 0.0894 0.0406
0.6540 0.2290 0.5380
0.6596 0.6560 0.0087
0.6707 0.6450 0.5086
0.9955 0.9837 0.7591
0.9983 0.9811 0.2590
0.0003 0.8324 0.2225
0.0046 0.5667 0.2221
0.0121 0.9768 0.3662
0.0789 0.2405 0.5426
0.0823 0.6536 0.0375
0.0910 0.5570 0.4531
0.0918 0.3315 0.3269
0.1054 0.5381 0.8159
0.1167 0.5355 0.6347
0.1196 0.3331 0.9698
0.1301 0.2971 0.1498
0.1449 0.8360 0.7230
0.1468 0.9769 0.2088
0.2261 0.8030 0.0508
0.2323 0.9496 0.5509
0.2535 0.6489 0.5400
0.2549 0.0645 0.0428
0.3115 0.1155 0.6499
0.3274 0.5556 0.3143
0.3312 0.5368 0.1321
0.3355 0.5555 0.9496
0.3461 0.0775 0.8271
0.3474 0.1051 0.4698
0.4117 0.9832 0.2248
0.4128 0.5656 0.7256
0.4431 0.6912 0.2143
0.4430 0.8368 0.7174
0.5147 0.8037 0.0559
0.5224 0.6445 0.5453
0.5499 0.1022 0.1346
0.5509 0.3169 0.6320
0.5528 0.0908 0.3157
0.5700 0.3129 0.8144
0.5698 0.3215 0.4493
0.5708 0.0774 0.9531
0.5801 0.3982 0.2258
0.5811 0.9902 0.7221
0.6421 0.6713 0.9009
0.6587 0.5079 0.0456
0.6632 0.2393 0.0403
0.6672 0.7974 0.5414
0.6676 0.0683 0.5373
0.6862 0.6276 0.4007
0.7037 0.8365 0.2188
0.7058 0.4283 0.7142
0.8120 0.6525 0.0417
0.8172 0.2120 0.5508
0.8183 0.5001 0.5560
0.8194 0.9491 0.0541
0.8467 0.9859 0.7228
0.8504 0.1306 0.2226
0.8512 0.4286 0.2171
0.8510 0.6889 0.7189
0.9633 0.8050 0.5543
0.9639 0.2179 0.0508
0.9913 0.1323 0.7090
0.9913 0.9981 0.8666
0.9983 0.3969 0.7248
```



2) Material: Li8V3P8O29
Method: DFT, PBE with a Hubbard U
State: relaxed

```
Li8V3P8O29
1.0
8.5607 -4.9337 0.0000
8.5607 4.9337 0.0000
-0.0656 0.0000 13.8066
Li V P O
16 6 16 58
direct
0.0030 0.9970 0.5000
0.1003 0.2399 0.6825
0.1008 0.6639 0.1825
0.2399 0.1003 0.1825
0.2400 0.6633 0.6811
0.3356 0.3371 0.6189
0.3371 0.3356 0.1189
0.4361 0.5692 0.0582
0.4364 0.9988 0.5555
0.5692 0.4361 0.5582
0.5711 0.9978 0.0563
0.6633 0.2400 0.1811
0.6639 0.1008 0.6825
0.9970 0.0030 0.0000
0.9978 0.5711 0.5563
0.9988 0.4364 0.0555
0.3360 0.8986 0.3666
0.3385 0.7703 0.8680
0.7703 0.3385 0.3680
0.7708 0.8984 0.8666
0.8984 0.7708 0.3666
0.8986 0.3360 0.8666
0.0006 0.0042 0.2439
0.0042 0.0006 0.7439
0.0222 0.4201 0.2743
0.0225 0.5612 0.7738
0.1103 0.2458 0.4617
0.1123 0.6495 0.9617
0.2444 0.6494 0.4622
0.2458 0.1103 0.9617
0.4201 0.0222 0.7743
0.4222 0.5607 0.2750
0.5612 0.0225 0.2738
0.5607 0.4222 0.7750
0.6494 0.2444 0.9622
0.6495 0.1123 0.4617
0.6675 0.6708 0.9925
0.6708 0.6675 0.4925
0.0042 0.5828 0.2733
0.0084 0.4139 0.7744
0.0090 0.8519 0.2817
0.0095 0.9931 0.6347
0.0145 0.1437 0.7815
0.0829 0.2559 0.9637
0.0832 0.6619 0.4626
0.1034 0.3393 0.5511
0.1110 0.3290 0.1846
0.1118 0.5584 0.0505
0.1153 0.5597 0.6851
0.1274 0.3327 0.3685
0.1280 0.5453 0.8686
0.1437 0.0145 0.2815
0.1515 0.8481 0.7867
0.2249 0.8134 0.4517
0.2295 0.9623 0.9487
0.2559 0.0829 0.4637
0.2603 0.6654 0.9619
0.3290 0.1110 0.6846
0.3327 0.1274 0.8685
0.3338 0.5444 0.3688
0.3338 0.5544 0.1856
0.3393 0.1034 0.0511
0.3393 0.5591 0.5508
0.4139 0.0084 0.2744
0.4138 0.5865 0.7769
0.4241 0.8655 0.7868
0.4285 0.7104 0.2841
0.5157 0.6709 0.9466
0.5244 0.8158 0.4529
0.5444 0.3338 0.8688
0.5453 0.1280 0.3686
0.5544 0.3338 0.6856
0.5584 0.1118 0.5505
0.5591 0.3393 0.0508
0.5597 0.1153 0.1851
0.5828 0.0042 0.7733
0.5865 0.4138 0.2769
0.6546 0.6697 0.1002
0.6600 0.8215 0.9532
0.6619 0.0832 0.9626
0.6654 0.2603 0.4619
0.6697 0.6546 0.6002
0.6709 0.5157 0.4466
0.7104 0.4285 0.7841
0.7111 0.8656 0.2847
0.8134 0.2249 0.9517
0.8136 0.9673 0.4528
0.8158 0.5244 0.9529
0.8215 0.6600 0.4532
0.8481 0.1515 0.2867
0.8519 0.0090 0.7817
0.8655 0.4241 0.2868
0.8656 0.7111 0.7847
0.9623 0.2295 0.4487
0.9673 0.8136 0.9528
0.9931 0.0095 0.1347
```



If we sort the structures by their calculated energies, the order from most to least stable is 1), 2).



1) Material: Li3VP2O8
Method: DFT, PBE with a Hubbard U
State: relaxed

```
Li3VP2O8
1.0
8.6375 0.0000 0.0000
0.0000 9.9543 0.0000
-6.9721 0.0000 14.7695
Li V P O
24 8 16 64
direct
0.0126 0.1021 0.2446
0.0126 0.3979 0.7446
0.0191 0.5983 0.9443
0.0191 0.9017 0.4443
0.2499 0.5844 0.4957
0.2499 0.9156 0.9957
0.2646 0.0863 0.4789
0.2646 0.4137 0.9789
0.3800 0.1219 0.2913
0.3800 0.3781 0.7913
0.4019 0.1171 0.7186
0.4019 0.3829 0.2186
0.5981 0.6171 0.7814
0.5981 0.8829 0.2814
0.6200 0.6219 0.2087
0.6200 0.8781 0.7087
0.7354 0.5863 0.0211
0.7354 0.9137 0.5211
0.7501 0.0844 0.0043
0.7501 0.4156 0.5043
0.9809 0.0983 0.5557
0.9809 0.4017 0.0557
0.9874 0.6021 0.2554
0.9874 0.8979 0.7554
0.0263 0.6483 0.6143
0.0263 0.8517 0.1143
0.4403 0.6208 0.3592
0.4403 0.8792 0.8592
0.5597 0.1208 0.1408
0.5597 0.3792 0.6408
0.9737 0.1483 0.8857
0.9737 0.3517 0.3857
0.1656 0.1544 0.0970
0.1656 0.3456 0.5970
0.2210 0.6335 0.1355
0.2210 0.8665 0.6355
0.2514 0.6521 0.8369
0.2514 0.8479 0.3369
0.3695 0.1637 0.9129
0.3695 0.3363 0.4129
0.6305 0.6637 0.5871
0.6305 0.8363 0.0871
0.7486 0.1521 0.6631
0.7486 0.3479 0.1631
0.7790 0.1335 0.3645
0.7790 0.3665 0.8645
0.8344 0.6544 0.4030
0.8344 0.8456 0.9030
0.0171 0.0577 0.0837
0.0171 0.4423 0.5837
0.0629 0.6476 0.1580
0.0629 0.8524 0.6580
0.1016 0.2491 0.5138
0.1016 0.2509 0.0138
0.1461 0.5778 0.7438
0.1461 0.9222 0.2438
0.1872 0.5197 0.0670
0.1872 0.9803 0.5670
0.2041 0.6949 0.3339
0.2041 0.8051 0.8339
0.2060 0.0933 0.9100
0.2060 0.4067 0.4100
0.2159 0.5809 0.9092
0.2159 0.9191 0.4092
0.2247 0.2351 0.1858
0.2247 0.2649 0.6858
0.2341 0.7220 0.6004
0.2341 0.7780 0.1004
0.3178 0.0691 0.0987
0.3178 0.4309 0.5987
0.3365 0.1870 0.3900
0.3365 0.3130 0.8900
0.3931 0.6008 0.2208
0.3931 0.8992 0.7208
0.4085 0.0846 0.8415
0.4085 0.4154 0.3415
0.4437 0.6603 0.8509
0.4437 0.8397 0.3509
0.4791 0.6419 0.4923
0.4791 0.8581 0.9923
0.5209 0.1419 0.0077
0.5209 0.3581 0.5077
0.5563 0.1603 0.6491
0.5563 0.3397 0.1491
0.5915 0.5846 0.6585
0.5915 0.9154 0.1585
0.6069 0.1008 0.2792
0.6069 0.3992 0.7792
0.6635 0.6870 0.1100
0.6635 0.8130 0.6100
0.6822 0.5691 0.4013
0.6822 0.9309 0.9013
0.7659 0.2220 0.8996
0.7659 0.2780 0.3996
0.7753 0.7351 0.3142
0.7753 0.7649 0.8142
0.7841 0.0809 0.5908
0.7841 0.4191 0.0908
0.7940 0.5933 0.5900
0.7940 0.9067 0.0900
0.7959 0.1949 0.1661
0.7959 0.3051 0.6661
0.8128 0.0197 0.4330
0.8128 0.4803 0.9330
0.8539 0.0778 0.7562
0.8539 0.4222 0.2562
0.8984 0.7491 0.9862
0.8984 0.7509 0.4862
0.9371 0.1476 0.3420
0.9371 0.3524 0.8420
0.9829 0.5577 0.4163
0.9829 0.9423 0.9163
```



2) Material: Li3VP2O8
Method: DFT, PBE with a Hubbard U
State: relaxed

```
Li3VP2O8
1.0
4.6955 0.0000 0.0000
-2.3447 4.5898 0.0000
-0.0064 -2.0528 13.4486
Li V P O
6 2 4 16
direct
0.0000 0.0000 0.0000
0.0621 0.9988 0.4999
0.3357 0.6718 0.8179
0.3988 0.6715 0.3177
0.6543 0.3362 0.9090
0.7442 0.3348 0.4089
0.6987 0.3353 0.6589
0.6999 0.3356 0.1590
0.0230 0.0207 0.7743
0.0603 0.0206 0.2742
0.3393 0.6505 0.0437
0.3747 0.6500 0.5432
0.0422 0.7108 0.2451
0.1420 0.5617 0.6269
0.1955 0.6553 0.4488
0.2031 0.0138 0.8681
0.2535 0.1072 0.6898
0.3577 0.9605 0.0730
0.4244 0.2555 0.2914
0.4833 0.5623 0.1277
0.5048 0.4153 0.5265
0.5245 0.6563 0.9494
0.6654 0.9604 0.5726
0.7318 0.7106 0.7449
0.8726 0.0137 0.3679
0.8953 0.2571 0.7918
0.9166 0.1083 0.1899
0.9758 0.4148 0.0265
```



3) Material: Li3VP2O8
Method: DFT, PBE with a Hubbard U
State: relaxed

```
Li3VP2O8
1.0
7.1618 0.0000 0.0000
0.0690 8.4492 0.0000
0.0091 4.2084 7.3553
Li V P O
9 3 6 24
direct
0.0000 0.0000 0.0000
0.0076 0.6710 0.6633
0.1629 0.6570 0.3068
0.1643 0.3108 0.0313
0.1684 0.0389 0.6547
0.8316 0.9611 0.3453
0.8357 0.6892 0.9687
0.8371 0.3430 0.6932
0.9924 0.3290 0.3367
0.4237 0.3318 0.3336
0.5000 0.0000 0.0000
0.5763 0.6682 0.6664
0.2648 0.6898 0.9574
0.2667 0.3530 0.6869
0.2667 0.9611 0.3495
0.7333 0.0389 0.6505
0.7333 0.6470 0.3131
0.7352 0.3102 0.0426
0.0806 0.7551 0.8468
0.0872 0.4000 0.7588
0.0867 0.8456 0.3930
0.2397 0.4039 0.4833
0.2415 0.1120 0.4043
0.2517 0.4837 0.1066
0.2935 0.7993 0.0605
0.2990 0.0639 0.1388
0.2987 0.1415 0.7975
0.4227 0.7307 0.8216
0.4304 0.8325 0.4453
0.4312 0.4488 0.7154
0.5688 0.5512 0.2846
0.5696 0.1675 0.5547
0.5773 0.2693 0.1784
0.7013 0.8585 0.2025
0.7010 0.9361 0.8612
0.7065 0.2007 0.9395
0.7483 0.5163 0.8934
0.7585 0.8880 0.5957
0.7603 0.5961 0.5167
0.9133 0.1544 0.6070
0.9128 0.6000 0.2412
0.9194 0.2449 0.1532
```



If we sort the structures by their calculated energies, the order from most to least stable is 2), 3), 1).